1.
Entry from the Materials Project: a relaxed structure of Na3FePCO7 (PBE with a Hubbard U).

Values from the calculation:
As for the energy above the most stable polymorph in this dataset: 0.000 eV per formula unit. As for the energy with MP2020 corrections: -7.03 eV/atom. The energy of formation from the pure elements is -2281 meV per atom. The value obtained for the total DFT energy (no corrections) is -6.484 eV per atom.

a b c (Å): 5.2180 6.6813 9.0866
angles (deg): 90.00 90.61 90.00
Fractional positions:
1 Na 0.2338 0.2500 0.0835
2 Na 0.2508 0.5039 0.7379
3 Na 0.2508 0.9961 0.7379
4 Na 0.7492 0.0039 0.2621
5 Na 0.7492 0.4961 0.2621
6 Na 0.7662 0.7500 0.9165
7 Fe 0.2181 0.7500 0.3543
8 Fe 0.7819 0.2500 0.6457
9 P 0.2977 0.2500 0.4164
10 P 0.7023 0.7500 0.5836
11 C 0.2718 0.7500 0.0624
12 C 0.7282 0.2500 0.9376
13 O 0.0474 0.7500 0.1244
14 O 0.1688 0.2500 0.5684
15 O 0.2180 0.0638 0.3221
16 O 0.2180 0.4362 0.3221
17 O 0.2902 0.7500 0.9201
18 O 0.4048 0.7500 0.5625
19 O 0.4766 0.7500 0.1457
20 O 0.5234 0.2500 0.8543
21 O 0.5952 0.2500 0.4375
22 O 0.7098 0.2500 0.0799
23 O 0.7820 0.5638 0.6779
24 O 0.7820 0.9362 0.6779
25 O 0.8312 0.7500 0.4316
26 O 0.9526 0.2500 0.8756

2.
Entry from the Materials Project: a relaxed structure of Na5Fe2P2C2O14 (PBE with a Hubbard U).

Values from the calculation:
As for the energy above the most stable polymorph in this dataset: 0.141 eV per formula unit. As for the energy with MP2020 corrections: -7.14 eV/atom. The energy of formation from the pure elements is -2259 meV per atom. The value obtained for the total DFT energy (no corrections) is -6.578 eV per atom.

a b c (Å): 8.9811 6.6710 10.4542
angles (deg): 90.00 90.32 90.00
Fractional positions:
1 Na 0.0750 0.0000 0.1137
2 Na 0.0890 0.0080 0.6236
3 Na 0.2603 0.7610 0.8686
4 Na 0.2651 0.2450 0.3788
5 Na 0.2646 0.7526 0.3809
6 Na 0.7354 0.2526 0.6191
7 Na 0.7349 0.7450 0.6212
8 Na 0.7397 0.2610 0.1314
9 Na 0.9110 0.5080 0.3764
10 Na 0.9250 0.5000 0.8863
11 Fe 0.3482 0.4951 0.6168
12 Fe 0.3526 0.4915 0.1011
13 Fe 0.6474 0.9915 0.8989
14 Fe 0.6518 0.9951 0.3832
15 P 0.4147 0.9986 0.1443
16 P 0.4229 0.9982 0.6481
17 P 0.5771 0.4982 0.3519
18 P 0.5853 0.4986 0.8557
19 C 0.0541 0.5050 0.6335
20 C 0.0721 0.4992 0.1367
21 C 0.9279 0.9992 0.8633
22 C 0.9459 0.0050 0.3665
23 O 0.0682 0.9823 0.8511
24 O 0.0897 0.9994 0.3578
25 O 0.1175 0.4970 0.5208
26 O 0.1351 0.5127 0.0248
27 O 0.1365 0.5159 0.7349
28 O 0.1648 0.5020 0.2348
29 O 0.3177 0.1881 0.1157
30 O 0.3230 0.1798 0.6157
31 O 0.3225 0.8114 0.1025
32 O 0.3236 0.8127 0.6190
33 O 0.4297 0.4984 0.4271
34 O 0.4347 0.5097 0.9275
35 O 0.4447 0.9899 0.2901
36 O 0.4663 0.9917 0.7946
37 O 0.5337 0.4917 0.2054
38 O 0.5553 0.4899 0.7099
39 O 0.5653 0.0097 0.0725
40 O 0.5703 0.9984 0.5729
41 O 0.6764 0.3127 0.3810
42 O 0.6775 0.3114 0.8975
43 O 0.6770 0.6798 0.3843
44 O 0.6823 0.6881 0.8843
45 O 0.8352 0.0020 0.7652
46 O 0.8635 0.0159 0.2651
47 O 0.8649 0.0127 0.9752
48 O 0.8825 0.9970 0.4792
49 O 0.9103 0.4994 0.6422
50 O 0.9318 0.4823 0.1489

3.
Entry from the Materials Project: a relaxed structure of Na2FePCO7 (PBE with a Hubbard U).

Values from the calculation:
As for the energy above the most stable polymorph in this dataset: 0.195 eV per formula unit. As for the energy with MP2020 corrections: -7.27 eV/atom. The energy of formation from the pure elements is -2241 meV per atom. The value obtained for the total DFT energy (no corrections) is -6.685 eV per atom.

a b c (Å): 5.2093 6.5611 17.8206
angles (deg): 90.00 90.30 90.00
Fractional positions:
1 Na 0.2350 0.2441 0.2904
2 Na 0.2350 0.2559 0.7904
3 Na 0.2515 0.5103 0.6190
4 Na 0.2515 0.9897 0.1190
5 Na 0.7485 0.0103 0.8810
6 Na 0.7485 0.4897 0.3810
7 Na 0.7650 0.7441 0.2096
8 Na 0.7650 0.7559 0.7096
9 Fe 0.2148 0.7379 0.9231
10 Fe 0.2148 0.7621 0.4231
11 Fe 0.7852 0.2379 0.5769
12 Fe 0.7852 0.2621 0.0769
13 P 0.2928 0.2478 0.9614
14 P 0.2928 0.2522 0.4614
15 P 0.7072 0.7478 0.5386
16 P 0.7072 0.7522 0.0386
17 C 0.2700 0.7465 0.2819
18 C 0.2700 0.7535 0.7819
19 C 0.7300 0.2465 0.2181
20 C 0.7300 0.2535 0.7181
21 O 0.0437 0.7405 0.3147
22 O 0.0437 0.7595 0.8147
23 O 0.1346 0.2432 0.0345
24 O 0.1346 0.2568 0.5345
25 O 0.2287 0.0622 0.9101
26 O 0.2287 0.4378 0.4101
27 O 0.2345 0.0621 0.4128
28 O 0.2345 0.4379 0.9128
29 O 0.2934 0.7396 0.7115
30 O 0.2934 0.7604 0.2115
31 O 0.4167 0.7387 0.5169
32 O 0.4167 0.7613 0.0169
33 O 0.4670 0.7414 0.3280
34 O 0.4670 0.7586 0.8280
35 O 0.5330 0.2414 0.1720
36 O 0.5330 0.2586 0.6720
37 O 0.5833 0.2387 0.9831
38 O 0.5833 0.2613 0.4831
39 O 0.7066 0.2396 0.7885
40 O 0.7066 0.2604 0.2885
41 O 0.7655 0.5621 0.0872
42 O 0.7655 0.9379 0.5872
43 O 0.7713 0.5622 0.5899
44 O 0.7713 0.9378 0.0899
45 O 0.8654 0.7432 0.4655
46 O 0.8654 0.7568 0.9655
47 O 0.9563 0.2405 0.1853
48 O 0.9563 0.2595 0.6853

4.
Entry from the Materials Project: a relaxed structure of Na2FePCO7 (PBE with a Hubbard U).

Values from the calculation:
As for the energy above the most stable polymorph in this dataset: 0.144 eV per formula unit. As for the energy with MP2020 corrections: -7.28 eV/atom. The energy of formation from the pure elements is -2245 meV per atom. The value obtained for the total DFT energy (no corrections) is -6.689 eV per atom.

a b c (Å): 5.2917 13.0546 8.9664
angles (deg): 90.09 88.27 89.97
Fractional positions:
1 O 0.7892 0.2211 0.3257
2 O 0.2105 0.4713 0.6739
3 O 0.0520 0.1244 0.8756
4 O 0.9467 0.3726 0.1259
5 O 0.8803 0.6219 0.5665
6 O 0.1204 0.8714 0.4325
7 O 0.5638 0.8827 0.5270
8 O 0.4365 0.1327 0.4721
9 O 0.5314 0.8680 0.1662
10 O 0.7729 0.5328 0.3225
11 O 0.7893 0.7210 0.3257
12 O 0.8803 0.1218 0.5666
13 O 0.4663 0.1180 0.8330
14 O 0.9466 0.8725 0.1259
15 O 0.2275 0.7834 0.6772
16 O 0.7729 0.0328 0.3225
17 O 0.6880 0.3842 0.9296
18 O 0.2277 0.2834 0.6771
19 O 0.4662 0.6180 0.8330
20 O 0.5314 0.3680 0.1662
21 O 0.6878 0.8843 0.9297
22 O 0.1209 0.3714 0.4326
23 O 0.0520 0.6244 0.8756
24 O 0.5643 0.3832 0.5275
25 O 0.4365 0.6327 0.4721
26 O 0.3134 0.6327 0.0709
27 O 0.3134 0.1327 0.0709
28 O 0.2107 0.9713 0.6738
29 C 0.2788 0.1246 0.9320
30 C 0.7205 0.3744 0.0684
31 C 0.2788 0.6246 0.9320
32 C 0.7204 0.8744 0.0684
33 P 0.2786 0.3772 0.5743
34 P 0.7221 0.6269 0.4252
35 P 0.7221 0.1269 0.4251
36 P 0.2783 0.8770 0.5742
37 Na 0.2346 0.8681 0.9197
38 Na 0.7481 0.4895 0.7316
39 Na 0.2523 0.7390 0.2686
40 Na 0.2346 0.3681 0.9196
41 Na 0.7657 0.6182 0.0816
42 Na 0.2523 0.2390 0.2686
43 Na 0.7480 0.9895 0.7316
44 Na 0.7657 0.1182 0.0816
45 Fe 0.7821 0.3810 0.3451
46 Fe 0.2182 0.1313 0.6546
47 Fe 0.7821 0.8809 0.3451
48 Fe 0.2181 0.6313 0.6546

5.
Entry from the Materials Project: a relaxed structure of Na5Fe2P2C2O14 (PBE with a Hubbard U).

Values from the calculation:
As for the energy above the most stable polymorph in this dataset: 0.123 eV per formula unit. As for the energy with MP2020 corrections: -7.14 eV/atom. The energy of formation from the pure elements is -2260 meV per atom. The value obtained for the total DFT energy (no corrections) is -6.579 eV per atom.

a b c (Å): 6.6873 8.9740 10.4605
angles (deg): 90.26 90.26 90.60
Fractional positions:
1 Na 0.0030 0.2647 0.3794
2 Na 0.0109 0.2609 0.8706
3 Na 0.2607 0.0894 0.6239
4 Na 0.2680 0.0747 0.1136
5 Na 0.4956 0.2654 0.3791
6 Na 0.5044 0.7346 0.6209
7 Na 0.7320 0.9253 0.8864
8 Na 0.7393 0.9106 0.3761
9 Na 0.9891 0.7391 0.1294
10 Na 0.9970 0.7353 0.6206
11 Fe 0.2535 0.6527 0.3838
12 Fe 0.2619 0.6469 0.8988
13 Fe 0.7381 0.3531 0.1012
14 Fe 0.7465 0.3473 0.6162
15 P 0.2466 0.4149 0.1446
16 P 0.2478 0.4235 0.6478
17 P 0.7522 0.5765 0.3522
18 P 0.7534 0.5851 0.8554
19 C 0.2402 0.9284 0.8630
20 C 0.2454 0.9454 0.3669
21 C 0.7546 0.0546 0.6331
22 C 0.7598 0.0716 0.1370
23 O 0.0611 0.3174 0.1050
24 O 0.0639 0.3214 0.6188
25 O 0.2285 0.0682 0.8507
26 O 0.2361 0.8625 0.2653
27 O 0.2413 0.4674 0.7944
28 O 0.2426 0.4446 0.2900
29 O 0.2432 0.8644 0.9753
30 O 0.2445 0.5658 0.0723
31 O 0.2467 0.5707 0.5721
32 O 0.2477 0.0895 0.3577
33 O 0.2539 0.8353 0.7655
34 O 0.2559 0.8829 0.4797
35 O 0.4309 0.3259 0.6159
36 O 0.4380 0.3232 0.1133
37 O 0.5620 0.6768 0.8867
38 O 0.5691 0.6741 0.3841
39 O 0.7441 0.1171 0.5203
40 O 0.7461 0.1647 0.2345
41 O 0.7523 0.9105 0.6423
42 O 0.7533 0.4293 0.4279
43 O 0.7555 0.4342 0.9277
44 O 0.7568 0.1356 0.0247
45 O 0.7574 0.5554 0.7100
46 O 0.7587 0.5326 0.2056
47 O 0.7639 0.1375 0.7347
48 O 0.7715 0.9318 0.1493
49 O 0.9361 0.6786 0.3812
50 O 0.9389 0.6826 0.8950

6.
Entry from the Materials Project: a relaxed structure of Na2FePCO7 (PBE with a Hubbard U).

Values from the calculation:
As for the energy above the most stable polymorph in this dataset: 0.170 eV per formula unit. As for the energy with MP2020 corrections: -7.28 eV/atom. The energy of formation from the pure elements is -2243 meV per atom. The value obtained for the total DFT energy (no corrections) is -6.687 eV per atom.

a b c (Å): 10.3632 6.5306 10.4962
angles (deg): 90.00 120.21 90.00
Fractional positions:
1 Na 0.0803 0.2395 0.4226
2 Na 0.0803 0.2605 0.9226
3 Na 0.2635 0.0136 0.2586
4 Na 0.2635 0.4864 0.7586
5 Na 0.7365 0.5136 0.2414
6 Na 0.7365 0.9864 0.7414
7 Na 0.9197 0.7395 0.0774
8 Na 0.9197 0.7605 0.5774
9 Fe 0.3455 0.7469 0.0646
10 Fe 0.3455 0.7531 0.5646
11 Fe 0.6545 0.2469 0.4354
12 Fe 0.6545 0.2531 0.9354
13 P 0.4242 0.2482 0.0667
14 P 0.4242 0.2518 0.5667
15 P 0.5758 0.7482 0.4333
16 P 0.5758 0.7518 0.9333
17 C 0.0646 0.7433 0.3970
18 C 0.0646 0.7567 0.8970
19 C 0.9354 0.2433 0.1030
20 C 0.9354 0.2567 0.6030
21 O 0.0757 0.2379 0.1868
22 O 0.0757 0.2621 0.6868
23 O 0.1287 0.7337 0.5415
24 O 0.1287 0.7663 0.0415
25 O 0.1570 0.7398 0.8468
26 O 0.1570 0.7602 0.3468
27 O 0.3225 0.0615 0.5382
28 O 0.3225 0.4385 0.0382
29 O 0.3262 0.0613 0.0538
30 O 0.3262 0.4387 0.5538
31 O 0.4319 0.7422 0.7809
32 O 0.4319 0.7578 0.2809
33 O 0.4691 0.2484 0.9453
34 O 0.4691 0.2516 0.4453
35 O 0.5309 0.7484 0.5547
36 O 0.5309 0.7516 0.0547
37 O 0.5681 0.2422 0.7191
38 O 0.5681 0.2578 0.2191
39 O 0.6738 0.5613 0.4462
40 O 0.6738 0.9387 0.9462
41 O 0.6775 0.5615 0.9618
42 O 0.6775 0.9385 0.4618
43 O 0.8430 0.2398 0.6532
44 O 0.8430 0.2602 0.1532
45 O 0.8713 0.2337 0.9585
46 O 0.8713 0.2663 0.4585
47 O 0.9243 0.7379 0.3132
48 O 0.9243 0.7621 0.8132

7.
Entry from the Materials Project: a relaxed structure of Na5Fe2P2C2O14 (PBE with a Hubbard U).

Values from the calculation:
As for the energy above the most stable polymorph in this dataset: 0.045 eV per formula unit. As for the energy with MP2020 corrections: -7.15 eV/atom. The energy of formation from the pure elements is -2263 meV per atom. The value obtained for the total DFT energy (no corrections) is -6.582 eV per atom.

a b c (Å): 8.4636 8.4904 10.4052
angles (deg): 108.71 107.52 103.15
Fractional positions:
1 Na 0.0089 0.4835 0.2281
2 Na 0.0408 0.8001 0.5851
3 Na 0.2539 0.2524 0.7643
4 Na 0.4613 0.6912 0.4214
5 Na 0.4850 0.9915 0.2414
6 Na 0.5150 0.0085 0.7586
7 Na 0.5387 0.3088 0.5786
8 Na 0.7461 0.7476 0.2357
9 Na 0.9592 0.1999 0.4149
10 Na 0.9911 0.5165 0.7719
11 Fe 0.0654 0.8239 0.1534
12 Fe 0.4497 0.6941 0.8523
13 Fe 0.5503 0.3059 0.1477
14 Fe 0.9346 0.1761 0.8466
15 P 0.1956 0.9399 0.9192
16 P 0.3143 0.5651 0.0791
17 P 0.6857 0.4349 0.9209
18 P 0.8044 0.0601 0.0808
19 C 0.2312 0.9780 0.4445
20 C 0.2677 0.5285 0.5715
21 C 0.7323 0.4715 0.4285
22 C 0.7688 0.0220 0.5555
23 O 0.0720 0.8142 0.9555
24 O 0.0841 0.8382 0.3786
25 O 0.0961 0.0214 0.8230
26 O 0.1662 0.4191 0.9335
27 O 0.1770 0.4538 0.4326
28 O 0.2213 0.4732 0.6641
29 O 0.2437 0.6715 0.1853
30 O 0.2771 0.8297 0.8228
31 O 0.2956 0.0349 0.3630
32 O 0.3084 0.0579 0.5879
33 O 0.3463 0.0888 0.0671
34 O 0.4165 0.6660 0.6338
35 O 0.4377 0.4922 0.1701
36 O 0.4376 0.6991 0.0426
37 O 0.5624 0.3009 0.9574
38 O 0.5623 0.5078 0.8299
39 O 0.5835 0.3340 0.3662
40 O 0.6537 0.9112 0.9329
41 O 0.6916 0.9421 0.4121
42 O 0.7044 0.9651 0.6370
43 O 0.7229 0.1703 0.1772
44 O 0.7563 0.3285 0.8147
45 O 0.7787 0.5268 0.3359
46 O 0.8230 0.5462 0.5674
47 O 0.8338 0.5809 0.0665
48 O 0.9039 0.9786 0.1770
49 O 0.9159 0.1618 0.6214
50 O 0.9280 0.1858 0.0445

8.
Entry from the Materials Project: a relaxed structure of Na2FePCO7 (PBE with a Hubbard U).

Values from the calculation:
As for the energy above the most stable polymorph in this dataset: 0.185 eV per formula unit. As for the energy with MP2020 corrections: -7.27 eV/atom. The energy of formation from the pure elements is -2241 meV per atom. The value obtained for the total DFT energy (no corrections) is -6.685 eV per atom.

a b c (Å): 8.9533 6.5349 10.4741
angles (deg): 90.00 90.25 90.00
Fractional positions:
1 Na 0.0803 0.2403 0.1175
2 Na 0.0803 0.2597 0.6175
3 Na 0.2631 0.0128 0.3742
4 Na 0.2631 0.4872 0.8742
5 Na 0.7369 0.5128 0.1258
6 Na 0.7369 0.9872 0.6258
7 Na 0.9197 0.7403 0.3825
8 Na 0.9197 0.7597 0.8825
9 Fe 0.3464 0.7445 0.6076
10 Fe 0.3464 0.7555 0.1076
11 Fe 0.6536 0.2445 0.8924
12 Fe 0.6536 0.2555 0.3924
13 P 0.4238 0.2480 0.6458
14 P 0.4238 0.2520 0.1458
15 P 0.5762 0.7480 0.8542
16 P 0.5762 0.7520 0.3542
17 C 0.0646 0.7445 0.1352
18 C 0.0646 0.7555 0.6352
19 C 0.9354 0.2445 0.3648
20 C 0.9354 0.2555 0.8648
21 O 0.0764 0.2380 0.3513
22 O 0.0764 0.2620 0.8513
23 O 0.1284 0.7349 0.0224
24 O 0.1284 0.7651 0.5224
25 O 0.1566 0.7373 0.7320
26 O 0.1566 0.7627 0.2320
27 O 0.3241 0.0612 0.6110
28 O 0.3236 0.0619 0.1213
29 O 0.3236 0.4381 0.6213
30 O 0.3241 0.4388 0.1110
31 O 0.4313 0.7469 0.9340
32 O 0.4313 0.7531 0.4340
33 O 0.4681 0.2489 0.7899
34 O 0.4681 0.2511 0.2899
35 O 0.5319 0.7489 0.7101
36 O 0.5319 0.7511 0.2101
37 O 0.5687 0.2469 0.5660
38 O 0.5687 0.2531 0.0660
39 O 0.6759 0.5612 0.8890
40 O 0.6764 0.5619 0.3787
41 O 0.6764 0.9381 0.8787
42 O 0.6759 0.9388 0.3890
43 O 0.8434 0.2373 0.7680
44 O 0.8434 0.2627 0.2680
45 O 0.8716 0.2349 0.4776
46 O 0.8716 0.2651 0.9776
47 O 0.9236 0.7380 0.1487
48 O 0.9236 0.7620 0.6487